46
Lattice="4.9502 -8.4641 0.0000 4.9502 8.4641 0.0000 -2.2167 0.0000 14.0580" Properties=species:S:1:pos:R:3 comment="Rb4Tc6S13, relaxed, DFT PBE" final_energy_ev_per_atom=-6.03 energy_mp2020_ev_per_cell=-290.43 ef_ev_per_atom=-1.1024 pbc="T T T"
Rb 1.2417 2.4217 8.7214
Rb 1.5705 0.5321 4.7925
Rb 0.4621 -0.5321 11.8215
Rb 2.3500 -2.4217 1.6924
Rb 5.3335 2.4217 12.3656
Rb 7.2214 0.5321 2.2365
Rb 6.1130 -0.5321 9.2654
Rb 6.4419 -2.4217 5.3366
Tc 3.3631 4.8842 1.5148
Tc 1.6845 4.7194 12.9919
Tc 3.2409 2.5589 0.2622
Tc 4.8907 4.7194 8.0950
Tc 5.4289 4.8842 5.5142
Tc 2.1325 -2.5589 7.2912
Tc 5.5510 2.5589 6.7668
Tc 2.2547 -4.8842 8.5438
Tc 2.7928 -4.7194 5.9630
Tc 4.4426 -2.5589 13.7958
Tc 5.9991 -4.7194 1.0660
Tc 4.3205 -4.8842 12.5432
S -1.1900 1.6638 13.9089
S 2.9794 5.2536 9.5406
S 2.6853 2.8417 2.5768
S 4.3960 5.9763 3.5145
S 1.4920 2.5676 11.9716
S -0.0816 -1.6638 6.8799
S 3.4808 3.7236 6.3893
S 3.5958 5.2536 11.5463
S 5.3111 3.7236 0.6397
S 4.1918 0.2616 0.6929
S 3.0834 -0.2616 7.7219
S 1.5769 -2.8417 9.6058
S 2.6004 -2.5676 4.9426
S 5.0832 2.5676 9.1154
S 6.1066 2.8417 4.4522
S 4.6001 0.2616 6.3361
S 3.4917 -0.2616 13.3650
S 2.3724 -3.7236 13.4183
S 4.0878 -5.2536 2.5116
S 4.2027 -3.7236 7.6687
S 7.7652 1.6638 7.1781
S 6.1916 -2.5676 2.0864
S 3.2876 -5.9763 10.5435
S 4.9983 -2.8417 11.4812
S 4.7042 -5.2536 4.5173
S 8.8735 -1.6638 0.1491

---

42
Lattice="10.7605 -4.1664 0.0000 10.7605 4.1664 0.0000 -5.5590 0.0000 12.5232" Properties=species:S:1:pos:R:3 comment="Rb4Ti3S14, relaxed, DFT PBE" final_energy_ev_per_atom=-5.08 energy_mp2020_ev_per_cell=-227.26 ef_ev_per_atom=-1.3386 pbc="T T T"
Rb 4.2509 1.4875 4.8403
Rb 4.5974 2.1887 10.6821
Rb 8.5850 2.1887 8.1027
Rb 1.4714 -1.4875 11.1019
Rb 14.4906 1.4875 1.4213
Rb 7.3769 -2.1887 4.4205
Rb 11.3645 -2.1887 1.8411
Rb 11.7111 -1.4875 7.6829
Ti 6.6979 2.0339 1.0409
Ti 9.3707 1.9636 3.1308
Ti 12.0436 2.0339 5.2207
Ti 3.9184 -2.0339 7.3025
Ti 6.5912 -1.9636 9.3924
Ti 9.2641 -2.0339 11.4823
S 8.8004 3.3798 1.0539
S 0.9785 1.7795 11.2896
S 7.1188 2.7888 3.5807
S 0.9314 0.3101 4.9847
S 9.9411 3.3798 5.2077
S -1.8481 -0.3101 11.2463
S 11.6226 2.7888 2.6809
S 7.7646 1.3001 4.8799
S 3.3932 0.1102 8.2710
S 6.1728 -0.1101 2.0094
S 10.9769 1.3001 1.3817
S 8.1946 0.1711 1.6420
S 5.4151 -0.1711 7.9036
S 3.7580 -1.7795 5.0280
S 12.2039 1.7795 7.4952
S 10.5469 0.1711 4.6196
S 7.7674 -0.1711 10.8812
S 4.9850 -1.3001 11.1415
S 9.7892 0.1101 10.5138
S 12.5687 -0.1101 4.2522
S 8.1974 -1.3001 7.6433
S 4.3393 -2.7888 9.8423
S 17.8100 0.3101 1.2769
S 6.0209 -3.3798 7.3154
S 15.0305 -0.3101 7.5385
S 8.8431 -2.7888 8.9425
S 14.9834 -1.7795 1.2336
S 7.1615 -3.3798 11.4693

---

32
Lattice="5.7869 -5.7929 0.0000 5.7869 5.7929 0.0000 -2.9388 0.0000 15.7335" Properties=species:S:1:pos:R:3 comment="RbTlS2, relaxed, DFT PBE" final_energy_ev_per_atom=-3.53 energy_mp2020_ev_per_cell=-121.14 ef_ev_per_atom=-0.8817 pbc="T T T"
Rb 3.5741 3.6071 9.5865
Rb 0.6873 0.7107 13.9311
Rb 3.5916 3.6071 14.0138
Rb 2.1567 -0.7107 6.0643
Rb 6.4784 0.7107 9.6693
Rb 5.0435 -3.6071 1.7197
Rb 7.9477 -0.7107 1.8025
Rb 5.0610 -3.6071 6.1471
Tl 3.6088 3.6227 5.3420
Tl 6.4956 3.6227 2.5248
Tl 3.6125 0.7284 2.5167
Tl 2.1431 -0.7284 10.3835
Tl 6.4919 0.7284 5.3501
Tl 5.0226 -0.7284 13.2168
Tl 2.1394 -3.6227 13.2087
Tl 5.0262 -3.6227 10.3916
S 2.0263 2.1808 3.9219
S 5.0522 5.2165 3.9334
S 0.7015 0.7313 8.8283
S 5.0589 2.1731 0.9661
S 2.1709 -0.7313 0.9615
S 5.0456 2.1731 6.9007
S 3.5828 0.8571 11.8002
S 0.5570 -2.1808 11.7886
S 8.0781 2.1808 3.9449
S 5.0522 -0.8571 3.9334
S 3.5895 -2.1731 8.8329
S 6.4642 0.7313 14.7720
S 3.5762 -2.1731 14.7674
S 7.9336 -0.7313 6.9052
S 3.5828 -5.2165 11.8002
S 6.6087 -2.1808 11.8117

---

12
Lattice="4.0270 0.0000 0.0000 -2.0135 3.4875 0.0000 0.0000 0.0000 23.0086" Properties=species:S:1:pos:R:3 comment="RbTmS2, relaxed, DFT PBE" final_energy_ev_per_atom=-5.28 energy_mp2020_ev_per_cell=-66.33 ef_ev_per_atom=-2.0949 pbc="T T T"
Rb 0.0000 0.0000 0.0000
Rb 0.0000 2.3250 15.3391
Rb 2.0135 1.1625 7.6695
Tm 0.0000 0.0000 11.5043
Tm 0.0000 2.3250 3.8348
Tm 2.0135 1.1625 19.1738
S 0.0000 0.0000 5.2894
S 0.0000 0.0000 17.7192
S 0.0000 2.3250 10.0497
S 0.0000 2.3250 20.6285
S 2.0135 1.1625 2.3801
S 2.0135 1.1625 12.9589

---

15
Lattice="9.2800 0.0000 0.0000 -4.6400 8.0367 0.0000 0.0000 0.0000 3.2430" Properties=species:S:1:pos:R:3 comment="RbV6S8, relaxed, DFT PBE" final_energy_ev_per_atom=-6.93 energy_mp2020_ev_per_cell=-107.94 ef_ev_per_atom=-1.2913 pbc="T T T"
Rb 0.0000 0.0000 0.0000
V -1.2135 3.9343 0.8049
V -0.6260 7.1205 0.8049
V 2.8004 3.0181 2.4382
V 1.8396 5.0186 0.8049
V 5.2660 0.9162 2.4382
V 5.8535 4.1024 2.4382
S -2.7609 5.6427 0.8229
S 1.1337 2.8243 0.8229
S 0.0000 5.3578 2.4275
S 3.0127 0.4303 2.4201
S 1.6273 7.6064 0.8229
S 4.6400 2.6789 0.8155
S 3.5063 5.2124 2.4201
S 7.4009 2.3939 2.4201

---

32
Lattice="9.5553 0.0000 0.0000 0.0000 11.1438 0.0000 0.0000 0.0000 9.5752" Properties=species:S:1:pos:R:3 comment="Rb3VS4, relaxed, DFT PBE" final_energy_ev_per_atom=-4.75 energy_mp2020_ev_per_cell=-159.89 ef_ev_per_atom=-1.4253 pbc="T T T"
Rb 0.4469 0.4822 1.9944
Rb 0.4469 5.0897 1.9944
Rb 1.3974 8.3578 3.9463
Rb 3.3803 2.7859 8.7339
Rb 4.3307 6.0541 6.7819
Rb 4.3307 10.6616 6.7819
Rb 5.2246 0.4822 2.7932
Rb 5.2246 5.0897 2.7932
Rb 6.1750 8.3578 0.8413
Rb 8.1580 2.7859 5.6289
Rb 9.1084 6.0541 7.5808
Rb 9.1084 10.6616 7.5808
V 2.1013 8.3578 9.4135
V 2.6763 2.7859 4.6259
V 6.8790 8.3578 4.9492
V 7.4540 2.7859 0.1617
S 0.0958 8.3578 0.6783
S 1.6382 0.9969 5.2562
S 1.6382 4.5749 5.2562
S 1.9657 8.3578 7.2525
S 2.8119 2.7859 2.4649
S 3.1395 6.5688 0.4686
S 3.1395 10.1468 0.4686
S 4.6819 2.7859 5.4659
S 4.8735 8.3578 4.1093
S 6.4159 0.9969 9.1066
S 6.4159 4.5749 9.1066
S 6.7434 8.3578 7.1103
S 7.5896 2.7859 2.3227
S 7.9171 6.5688 4.3190
S 7.9171 10.1468 4.3190
S 9.4595 2.7859 8.8969

---

28
Lattice="9.9535 0.0000 0.0000 0.0000 7.1829 0.0000 0.0000 0.0000 12.7974" Properties=species:S:1:pos:R:3 comment="Rb2WS4, relaxed, DFT PBE" final_energy_ev_per_atom=-5.49 energy_mp2020_ev_per_cell=-161.78 ef_ev_per_atom=-1.2827 pbc="T T T"
Rb 0.3934 1.7957 2.1496
Rb 1.5395 5.3871 5.0465
Rb 3.4372 1.7957 11.4452
Rb 4.5834 5.3871 8.5482
Rb 5.3701 1.7957 4.2491
Rb 6.5163 5.3871 1.3521
Rb 8.4140 1.7957 7.7508
Rb 9.5601 5.3871 10.6478
W 2.4473 5.3871 0.9093
W 2.5294 1.7957 7.3079
W 7.4241 5.3871 5.4894
W 7.5062 1.7957 11.8881
S 0.2746 5.3871 1.3417
S 1.5958 0.0073 8.1943
S 1.5958 3.5841 8.1943
S 2.1591 1.7957 5.1282
S 2.8176 5.3871 11.5268
S 3.3809 3.5988 1.7957
S 3.3809 7.1755 1.7957
S 4.7021 1.7957 7.7404
S 5.2514 5.3871 5.0570
S 6.5726 0.0073 11.0017
S 6.5726 3.5841 11.0017
S 7.1359 1.7957 1.2705
S 7.7944 5.3871 7.6692
S 8.3577 3.5988 4.6030
S 8.3577 7.1755 4.6030
S 9.6789 1.7957 11.4556

---

56
Lattice="6.8430 0.0000 0.0000 0.0000 24.4225 0.0000 0.0000 0.0000 9.8958" Properties=species:S:1:pos:R:3 comment="Rb2ZrS4, relaxed, DFT PBE" final_energy_ev_per_atom=-5.14 energy_mp2020_ev_per_cell=-303.78 ef_ev_per_atom=-1.5597 pbc="T T T"
Rb 0.3395 4.8744 0.6806
Rb 0.3395 7.3368 5.6285
Rb 1.3320 13.0312 3.5515
Rb 1.3320 23.6026 8.4993
Rb 2.0894 0.8200 3.5515
Rb 2.0894 11.3913 8.4993
Rb 3.0820 17.0857 0.6806
Rb 3.0820 19.5481 5.6285
Rb 3.7610 4.8744 4.2673
Rb 3.7610 7.3368 9.2152
Rb 4.7535 13.0312 1.3964
Rb 4.7535 23.6026 6.3443
Rb 5.5109 0.8200 1.3964
Rb 5.5109 11.3913 6.3443
Rb 6.5035 17.0857 4.2673
Rb 6.5035 19.5481 9.2152
Zr 0.2599 3.1898 6.6675
Zr 0.2599 9.0215 1.7197
Zr 3.1616 15.4010 6.6675
Zr 3.1616 21.2328 1.7197
Zr 3.6814 3.1898 8.1761
Zr 3.6814 9.0215 3.2282
Zr 6.5830 15.4010 8.1761
Zr 6.5830 21.2328 3.2282
S 0.3676 3.8712 4.1501
S 0.3676 8.3401 9.0979
S 0.8418 14.3974 0.4194
S 0.8418 22.2364 5.3672
S 1.0463 13.8644 6.6576
S 1.0463 22.7694 1.7098
S 1.5177 17.1173 7.5699
S 1.5177 19.5164 2.6220
S 1.9037 4.9061 7.5699
S 1.9037 7.3052 2.6220
S 2.3752 1.6531 6.6576
S 2.3752 10.5581 1.7098
S 2.5797 2.1861 0.4194
S 2.5797 10.0251 5.3672
S 3.0539 16.0824 4.1501
S 3.0539 20.5513 9.0979
S 3.7891 3.8712 0.7978
S 3.7891 8.3401 5.7457
S 4.2633 14.3974 4.5285
S 4.2633 22.2364 9.4764
S 4.4677 13.8644 8.1860
S 4.4677 22.7694 3.2381
S 4.9392 17.1173 7.2738
S 4.9392 19.5164 2.3259
S 5.3252 4.9061 7.2738
S 5.3252 7.3052 2.3259
S 5.7967 1.6531 8.1860
S 5.7967 10.5581 3.2381
S 6.0012 2.1861 4.5285
S 6.0012 10.0251 9.4764
S 6.4753 16.0824 0.7978
S 6.4753 20.5513 5.7457

---

16
Lattice="7.3631 0.0000 0.0000 0.0000 7.5097 0.0000 0.0000 0.0000 13.0372" Properties=species:S:1:pos:R:3 comment="RbSb, relaxed, DFT PBE" final_energy_ev_per_atom=-2.97 energy_mp2020_ev_per_cell=-49.12 ef_ev_per_atom=-0.5151 e_above_lowest_polymorph_ev_per_fu=0.00 e_ij_max_c_m2=0.2 pbc="T T T"
Rb 0.7100 0.7538 5.4640
Rb 1.2405 2.6392 10.3144
Rb 2.4410 4.8705 3.7958
Rb 2.9715 6.7559 11.9826
Rb 4.3916 3.0010 7.5732
Rb 4.9221 1.1156 2.7228
Rb 6.1226 6.3940 9.2414
Rb 6.6531 4.5086 1.0546
Sb 0.6733 4.1717 6.9776
Sb 1.2513 1.3038 1.5398
Sb 2.4303 6.2059 8.0585
Sb 3.0082 3.3380 0.4590
Sb 4.3549 7.0929 6.0596
Sb 4.9328 2.4510 11.4974
Sb 6.1119 5.0586 4.9788
Sb 6.6898 0.4168 12.5783

---

8
Lattice="7.5970 0.0000 0.0000 0.0000 7.5970 0.0000 0.0000 0.0000 7.5970" Properties=species:S:1:pos:R:3 comment="RbSb, relaxed, DFT PBE" final_energy_ev_per_atom=-2.23 energy_mp2020_ev_per_cell=-18.63 ef_ev_per_atom=0.2262 e_above_lowest_polymorph_ev_per_fu=1.48 pbc="T T T"
Rb 0.0000 0.0000 0.0000
Rb 0.0000 3.7985 3.7985
Rb 3.7985 0.0000 3.7985
Rb 3.7985 3.7985 0.0000
Sb 0.0000 0.0000 3.7985
Sb 0.0000 3.7985 0.0000
Sb 3.7985 0.0000 0.0000
Sb 3.7985 3.7985 3.7985

---

12
Lattice="14.1975 0.0000 0.0000 0.0000 4.2386 0.0000 -2.1313 0.0000 8.4600" Properties=species:S:1:pos:R:3 comment="RbSb2, relaxed, DFT PBE" final_energy_ev_per_atom=-3.36 energy_mp2020_ev_per_cell=-41.86 ef_ev_per_atom=-0.4091 pbc="T T T"
Rb 1.9169 0.0000 1.6732
Rb 3.0505 2.1193 6.7868
Rb 9.0157 2.1193 1.6732
Rb 10.1492 0.0000 6.7868
Sb -0.8072 2.1193 6.8834
Sb 0.0573 0.0000 5.1395
Sb 4.9102 2.1193 3.3205
Sb 5.7746 0.0000 1.5766
Sb 6.2916 0.0000 6.8834
Sb 7.1560 2.1193 5.1395
Sb 12.0089 0.0000 3.3205
Sb 12.8734 2.1193 1.5766

---

8
Lattice="6.4305 0.0000 0.0000 -3.2152 5.5690 0.0000 0.0000 0.0000 11.3839" Properties=species:S:1:pos:R:3 comment="Rb3Sb, relaxed, DFT PBE" final_energy_ev_per_atom=-2.12 energy_mp2020_ev_per_cell=-17.31 ef_ev_per_atom=-0.3957 e_above_lowest_polymorph_ev_per_fu=0.00 pbc="T T T"
Rb 0.0000 0.0000 2.8460
Rb 0.0000 0.0000 8.5379
Rb 0.0000 3.7126 0.9194
Rb 0.0000 3.7126 4.7726
Rb 3.2152 1.8563 6.6113
Rb 3.2152 1.8563 10.4645
Sb 0.0000 3.7126 8.5379
Sb 3.2152 1.8563 2.8460

---

16
Lattice="7.5417 0.0000 0.0000 0.0000 7.3204 0.0000 -5.7513 0.0000 12.8235" Properties=species:S:1:pos:R:3 comment="RbSb, relaxed, DFT PBE" final_energy_ev_per_atom=-2.97 energy_mp2020_ev_per_cell=-49.12 ef_ev_per_atom=-0.5151 e_above_lowest_polymorph_ev_per_fu=0.00 pbc="T T T"
Rb -0.2930 0.7218 4.2475
Rb -3.1687 2.9384 10.6592
Rb -1.2069 4.8927 6.8317
Rb 1.6687 6.0879 0.4200
Rb 0.1217 1.2325 12.4035
Rb 2.9973 2.4277 5.9918
Rb 4.9591 4.3821 2.1643
Rb 2.0834 6.5986 8.5760
Sb 0.8504 4.3627 3.6408
Sb -2.0252 6.6180 10.0525
Sb -1.1048 1.2369 8.0774
Sb 1.7708 2.4233 1.6656
Sb 0.0195 4.8971 11.1578
Sb 2.8952 6.0835 4.7461
Sb 3.8156 0.7024 2.7710
Sb 0.9400 2.9578 9.1827

---

16
Lattice="8.9710 0.0000 0.0000 0.0000 8.9710 0.0000 0.0000 0.0000 8.9710" Properties=species:S:1:pos:R:3 comment="Rb3Sb, relaxed, DFT PBE" final_energy_ev_per_atom=-2.08 energy_mp2020_ev_per_cell=-34.11 ef_ev_per_atom=-0.3640 e_above_lowest_polymorph_ev_per_fu=0.13 pbc="T T T"
Rb 0.0000 0.0000 0.0000
Rb 0.0000 4.4855 4.4855
Rb 2.2428 2.2428 2.2428
Rb 2.2428 2.2428 6.7283
Rb 2.2428 6.7283 2.2428
Rb 2.2428 6.7283 6.7283
Rb 4.4855 0.0000 4.4855
Rb 4.4855 4.4855 0.0000
Rb 6.7283 2.2428 2.2428
Rb 6.7283 2.2428 6.7283
Rb 6.7283 6.7283 2.2428
Rb 6.7283 6.7283 6.7283
Sb 0.0000 0.0000 4.4855
Sb 0.0000 4.4855 0.0000
Sb 4.4855 0.0000 0.0000
Sb 4.4855 4.4855 4.4855

---

8
Lattice="8.5160 0.0000 0.0000 0.0000 8.5160 0.0000 0.0000 0.0000 8.5160" Properties=species:S:1:pos:R:3 comment="RbSb, relaxed, DFT PBE" final_energy_ev_per_atom=-2.06 energy_mp2020_ev_per_cell=-17.21 ef_ev_per_atom=0.4032 e_above_lowest_polymorph_ev_per_fu=1.84 pbc="T T T"
Rb 0.0000 0.0000 0.0000
Rb 0.0000 4.2580 4.2580
Rb 4.2580 0.0000 4.2580
Rb 4.2580 4.2580 0.0000
Sb 2.1290 2.1290 6.3870
Sb 2.1290 6.3870 2.1290
Sb 6.3870 2.1290 2.1290
Sb 6.3870 6.3870 6.3870